Record 1
# ZrSbRu

An optimized crystal structure of ZrSbRu (meta-GGA r2SCAN, Materials Project).

Unit cell a=4.467 b=4.467 c=4.467 alpha=60.00 beta=60.00 gamma=60.00
Fractional coordinates of all 3 atoms:
Zr 0.000 0.000 0.000
Sb 0.500 0.500 0.500
Ru 0.250 0.250 0.250

Values from the calculation:
Raw total energy in eV per atom: -25.295
DFT formation energy in eV/atom: -0.668
Space-group type: F-43m (216)
Crystal system: cubic
Magnetization in μB/f.u.: 0.00

=====

Record 2
# ScTaRu2

An optimized crystal structure of ScTaRu2 (meta-GGA r2SCAN, Materials Project).

Unit cell a=4.483 b=4.483 c=4.483 alpha=60.00 beta=60.00 gamma=60.00
Fractional coordinates of all 4 atoms:
Sc 0.250 0.250 0.250
Ta 0.750 0.750 0.750
Ru 0.000 0.000 0.000
Ru 0.500 0.500 0.500

Values from the calculation:
Raw total energy in eV per atom: -28.381
DFT formation energy in eV/atom: -0.672
Space-group type: Fm-3m (225)
Crystal system: cubic
Magnetization in μB/f.u.: 0.00

=====

Record 3
# ScTiRu2

An optimized crystal structure of ScTiRu2 (meta-GGA r2SCAN, Materials Project).

Unit cell a=4.425 b=4.425 c=4.425 alpha=60.00 beta=60.00 gamma=60.00
Fractional coordinates of all 4 atoms:
Sc 0.250 0.250 0.250
Ti 0.750 0.750 0.750
Ru 0.000 0.000 0.000
Ru 0.500 0.500 0.500

Values from the calculation:
Raw total energy in eV per atom: -19.491
DFT formation energy in eV/atom: -0.695
Space-group type: Fm-3m (225)
Crystal system: cubic
Magnetization in μB/f.u.: 0.00

=====

Record 4
# TmScRu2

An optimized crystal structure of TmScRu2 (meta-GGA r2SCAN, Materials Project).

Unit cell a=4.617 b=4.617 c=4.617 alpha=60.00 beta=60.00 gamma=60.00
Fractional coordinates of all 4 atoms:
Tm 0.750 0.750 0.750
Sc 0.250 0.250 0.250
Ru 0.000 0.000 0.000
Ru 0.500 0.500 0.500

Values from the calculation:
Raw total energy in eV per atom: -24.853
DFT formation energy in eV/atom: -0.510
Space-group type: Fm-3m (225)
Crystal system: cubic
Magnetization in μB/f.u.: 0.00

=====

Record 5
# SiRu

An optimized crystal structure of SiRu (meta-GGA r2SCAN, Materials Project).

Unit cell a=2.916 b=2.916 c=2.916 alpha=90.00 beta=90.00 gamma=90.00
Fractional coordinates of all 2 atoms:
Si 0.500 0.500 0.500
Ru 0.000 0.000 0.000

Values from the calculation:
Raw total energy in eV per atom: -17.746
DFT formation energy in eV/atom: -0.647
Space-group type: Pm-3m (221)
Crystal system: cubic
Magnetization in μB/f.u.: 0.00

=====

Record 6
# Si3Ru5

An optimized crystal structure of Si3Ru5 (meta-GGA r2SCAN, Materials Project).

Unit cell a=4.023 b=5.247 c=9.782 alpha=90.00 beta=90.00 gamma=90.00
Fractional coordinates of all 16 atoms:
Si 0.000 0.500 0.500
Si 0.000 0.000 0.000
Si 0.500 0.870 0.364
Si 0.500 0.130 0.636
Si 0.500 0.370 0.136
Si 0.500 0.630 0.864
Ru 0.000 0.500 0.000
Ru 0.000 0.000 0.500
Ru 0.000 0.657 0.273
Ru 0.000 0.343 0.727
Ru 0.000 0.157 0.227
Ru 0.000 0.843 0.773
Ru 0.500 0.834 0.109
Ru 0.500 0.166 0.891
Ru 0.500 0.334 0.391
Ru 0.500 0.666 0.609

Values from the calculation:
Raw total energy in eV per atom: -19.634
DFT formation energy in eV/atom: -0.453
Space-group type: Pbam (55)
Crystal system: orthorhombic
Magnetization in μB/f.u.: 0.00